Record 1
## Ca2F (PBE)

Data for a relaxed structure of Ca2F.

## Properties
M_tot ... 0.57 μB per cell
Formation energy from the elements ... -1.9828 eV per atom

abc: 14.095 14.095 7.920
angles: 98.04 98.04 16.07
Sites, in units of the cell vectors:
Ca 0.000 0.000 0.000
Ca 0.000 0.000 0.497
Ca 0.195 0.195 0.102
Ca 0.204 0.204 0.600
Ca 0.393 0.393 0.197
Ca 0.406 0.406 0.701
Ca 0.594 0.594 0.299
Ca 0.604 0.604 0.797
Ca 0.799 0.799 0.399
Ca 0.801 0.801 0.896
F 0.046 0.046 0.272
F 0.155 0.155 0.820
F 0.751 0.751 0.630
F 0.846 0.846 0.171
F 0.954 0.954 0.726

=====

Record 2
## Er5Si2Sb2 (PBE)

Data for a relaxed structure of Er5Si2Sb2.

## Properties
Formation energy from the elements ... -0.9479 eV per atom

abc: 8.449 8.449 7.798
angles: 90.00 90.00 54.82
Sites, in units of the cell vectors:
Er 0.000 0.000 0.000
Er 0.039 0.710 0.664
Er 0.210 0.539 0.164
Er 0.290 0.961 0.664
Er 0.461 0.790 0.164
Er 0.500 0.500 0.500
Er 0.539 0.210 0.836
Er 0.710 0.039 0.336
Er 0.790 0.461 0.836
Er 0.961 0.290 0.336
Si 0.135 0.865 0.366
Si 0.365 0.635 0.866
Si 0.635 0.365 0.134
Si 0.865 0.135 0.634
Sb 0.205 0.205 0.000
Sb 0.295 0.295 0.500
Sb 0.705 0.705 0.500
Sb 0.795 0.795 0.000

=====

Record 3
## BeCuBr (PBE)

Data for a relaxed structure of BeCuBr.

## Properties
M_tot ... 0.00 μB per cell
Formation energy from the elements ... 0.5714 eV per atom

abc: 4.253 4.253 4.253
angles: 60.00 60.00 60.00
Sites, in units of the cell vectors:
Be 0.000 0.000 0.000
Cu 0.250 0.250 0.250
Br 0.500 0.500 0.500

=====

Record 4
## MgAg (PBE)

Data for a relaxed structure of MgAg.

## Properties
Formation energy from the elements ... -0.2507 eV per atom

abc: 3.335 3.335 3.335
angles: 90.00 90.00 90.00
Sites, in units of the cell vectors:
Mg 0.000 0.000 0.000
Ag 0.500 0.500 0.500